No. 1
A relaxed Co8Cu7Mo12O48 crystal, computed with PBE with a Hubbard U.

Properties
For the energy of formation, the calculation gives -1623 meV/atom. The space-group type is No. 6. The value obtained for the calculated volume is 13.2 Å³/atom.

a b c (Å): 5.1397 10.6572 18.0255
angles (deg): 90.00 90.39 90.00
Sites, in units of the cell vectors:
Co: 0.0000 0.1742 0.0000
Co: 0.0000 0.8258 0.0000
Co: 0.4921 0.3227 0.9438
Co: 0.4921 0.6773 0.9438
Co: 0.4945 0.1751 0.4456
Co: 0.4945 0.8249 0.4456
Co: 0.9942 0.3224 0.5010
Co: 0.9942 0.6776 0.5010
Cu: 0.0276 0.0000 0.1554
Cu: 0.3567 0.5000 0.2250
Cu: 0.4572 0.5000 0.7902
Cu: 0.5292 0.0000 0.2897
Cu: 0.6382 0.0000 0.7236
Cu: 0.8572 0.5000 0.2200
Cu: 0.9612 0.5000 0.6541
Mo: 0.0221 0.2215 0.3173
Mo: 0.0221 0.7785 0.3173
Mo: 0.0230 0.5000 0.0266
Mo: 0.4675 0.0000 0.9181
Mo: 0.4711 0.2791 0.6287
Mo: 0.4711 0.7209 0.6287
Mo: 0.5208 0.5000 0.4183
Mo: 0.5223 0.2218 0.1280
Mo: 0.5223 0.7782 0.1280
Mo: 0.9641 0.2780 0.8155
Mo: 0.9641 0.7220 0.8155
Mo: 0.9686 0.0000 0.5278
O: 0.0984 0.3640 0.2694
O: 0.0984 0.6360 0.2694
O: 0.1051 0.5000 0.1218
O: 0.1614 0.2393 0.8994
O: 0.1614 0.7607 0.8994
O: 0.1689 0.1383 0.5089
O: 0.1689 0.8617 0.5089
O: 0.1749 0.3660 0.5987
O: 0.1749 0.6340 0.5987
O: 0.1784 0.0000 0.9796
O: 0.1829 0.3701 0.7602
O: 0.1829 0.6299 0.7602
O: 0.3087 0.5000 0.9648
O: 0.3116 0.1276 0.1834
O: 0.3116 0.8724 0.1834
O: 0.3146 0.1336 0.3470
O: 0.3146 0.8664 0.3470
O: 0.3208 0.3626 0.4366
O: 0.3208 0.6374 0.4366
O: 0.3252 0.2605 0.0448
O: 0.3252 0.7395 0.0448
O: 0.3913 0.0000 0.8243
O: 0.4093 0.1377 0.6748
O: 0.4093 0.8623 0.6748
O: 0.5994 0.3641 0.1764
O: 0.5994 0.6359 0.1764
O: 0.6029 0.5000 0.3234
O: 0.6631 0.2421 0.5445
O: 0.6631 0.7579 0.5445
O: 0.6666 0.1381 0.9380
O: 0.6666 0.8619 0.9380
O: 0.6777 0.3680 0.8472
O: 0.6777 0.6320 0.8472
O: 0.6850 0.3734 0.6844
O: 0.6850 0.6266 0.6844
O: 0.6858 0.0000 0.4639
O: 0.8071 0.5000 0.4802
O: 0.8107 0.1272 0.2612
O: 0.8112 0.1337 0.0981
O: 0.8112 0.8663 0.0981
O: 0.8107 0.8728 0.2612
O: 0.8229 0.3627 0.0083
O: 0.8229 0.6373 0.0083
O: 0.8263 0.2588 0.4002
O: 0.8263 0.7412 0.4002
O: 0.8691 0.1397 0.7703
O: 0.8691 0.8603 0.7703
O: 0.8738 0.0000 0.6196

No. 2
A relaxed FeOF crystal, computed with PBE with a Hubbard U.

Properties
For the energy of formation, the calculation gives -2032 meV/atom. The space-group type is No. 6. The value obtained for the calculated volume is 11.6 Å³/atom.

a b c (Å): 14.2155 3.0956 14.2180
angles (deg): 90.00 90.07 90.00
Sites, in units of the cell vectors:
Fe: 0.0000 0.0000 0.0000
Fe: 0.0002 0.0000 0.3354
Fe: 0.1418 0.5000 0.1676
Fe: 0.1536 0.5000 0.4885
Fe: 0.1592 0.5000 0.8523
Fe: 0.3211 0.0000 0.3470
Fe: 0.3266 0.0000 0.9944
Fe: 0.3331 0.0000 0.6673
Fe: 0.4743 0.5000 0.8348
Fe: 0.4752 0.5000 0.5003
Fe: 0.5048 0.5000 0.1719
Fe: 0.6577 0.0000 0.0106
Fe: 0.6588 0.0000 0.3278
Fe: 0.6674 0.0000 0.6681
Fe: 0.8007 0.5000 0.8416
Fe: 0.8020 0.5000 0.4953
Fe: 0.8078 0.5000 0.1682
Fe: 0.9862 0.0000 0.6705
O: 0.0484 0.5000 0.9327
O: 0.0544 0.5000 0.2740
O: 0.0846 0.0000 0.4444
O: 0.0901 0.0000 0.1036
O: 0.2206 0.0000 0.9039
O: 0.2565 0.5000 0.4006
O: 0.3839 0.5000 0.6036
O: 0.3898 0.5000 0.9435
O: 0.4196 0.0000 0.7723
O: 0.4260 0.0000 0.4349
O: 0.5511 0.0000 0.2398
O: 0.5879 0.5000 0.0661
O: 0.7158 0.5000 0.9423
O: 0.7207 0.5000 0.2723
O: 0.7206 0.5000 0.6051
O: 0.7525 0.0000 0.4356
O: 0.7555 0.0000 0.7725
O: 0.7588 0.0000 0.1048
F: 0.0559 0.5000 0.6075
F: 0.0902 0.0000 0.7681
F: 0.2159 0.0000 0.5721
F: 0.2220 0.0000 0.2325
F: 0.2501 0.5000 0.7335
F: 0.2582 0.5000 0.0727
F: 0.3820 0.5000 0.2677
F: 0.4192 0.0000 0.1095
F: 0.5527 0.0000 0.5710
F: 0.5529 0.0000 0.8954
F: 0.5883 0.5000 0.7338
F: 0.5900 0.5000 0.4076
F: 0.8843 0.0000 0.9039
F: 0.8887 0.0000 0.2367
F: 0.8888 0.0000 0.5677
F: 0.9204 0.5000 0.4032
F: 0.9227 0.5000 0.7392
F: 0.9236 0.5000 0.0690

No. 3
A relaxed Sr4Ca4Co7CuO20 crystal, computed with PBE with a Hubbard U.

Properties
For the energy of formation, the calculation gives -2108 meV/atom. The space-group type is No. 1. The value obtained for the calculated volume is 13.0 Å³/atom.

a b c (Å): 10.7887 11.1353 17.4237
angles (deg): 71.40 72.03 90.00
Sites, in units of the cell vectors:
Sr: 0.0000 0.0000 0.0000
Sr: 0.0010 0.0040 0.5038
Sr: 0.0017 0.5005 0.9994
Sr: 0.1368 0.1330 0.2292
Sr: 0.1419 0.6379 0.2278
Sr: 0.2490 0.7572 0.5030
Sr: 0.2527 0.2597 0.0005
Sr: 0.3819 0.3939 0.2322
Sr: 0.4951 0.4945 0.5062
Sr: 0.4993 0.4987 0.0008
Sr: 0.6349 0.1374 0.2295
Sr: 0.6357 0.6399 0.2286
Sr: 0.7445 0.2606 0.0010
Sr: 0.7465 0.7603 0.5060
Sr: 0.8877 0.8998 0.2260
Sr: 0.8899 0.3982 0.2288
Ca: 0.0000 0.4855 0.5118
Ca: 0.1354 0.6288 0.7233
Ca: 0.1374 0.1329 0.7239
Ca: 0.2449 0.2602 0.5091
Ca: 0.2540 0.7637 0.0053
Ca: 0.3804 0.4051 0.7235
Ca: 0.3822 0.9028 0.7279
Ca: 0.3913 0.9002 0.2206
Ca: 0.4911 0.9943 0.5101
Ca: 0.5006 0.9907 0.0059
Ca: 0.6313 0.6303 0.7262
Ca: 0.6345 0.1315 0.7271
Ca: 0.7440 0.7672 0.0058
Ca: 0.7467 0.2634 0.5126
Ca: 0.8846 0.9058 0.7281
Ca: 0.8893 0.4063 0.7256
Co: 0.0516 0.7949 0.8621
Co: 0.0527 0.2920 0.8593
Co: 0.0531 0.7864 0.3695
Co: 0.1926 0.4458 0.1191
Co: 0.1942 0.4451 0.6179
Co: 0.1957 0.9460 0.6178
Co: 0.1988 0.9493 0.1124
Co: 0.3018 0.6095 0.8616
Co: 0.3071 0.1031 0.8597
Co: 0.4393 0.6945 0.6244
Co: 0.4396 0.1917 0.1223
Co: 0.4454 0.1968 0.6170
Co: 0.4455 0.6971 0.1168
Co: 0.5504 0.7968 0.8633
Co: 0.5520 0.2901 0.8603
Co: 0.5517 0.7975 0.3660
Co: 0.6884 0.9422 0.6258
Co: 0.6897 0.4447 0.1197
Co: 0.6937 0.4453 0.6228
Co: 0.6946 0.9505 0.1139
Co: 0.7920 0.1106 0.3741
Co: 0.7983 0.1027 0.8616
Co: 0.8011 0.6118 0.8625
Co: 0.8065 0.5994 0.3687
Co: 0.9425 0.6944 0.6240
Co: 0.9449 0.1978 0.6182
Co: 0.9467 0.2015 0.1095
Co: 0.9495 0.7025 0.1092
Cu: 0.0504 0.3002 0.3697
Cu: 0.2961 0.5989 0.3689
Cu: 0.3072 0.1013 0.3695
Cu: 0.5510 0.3013 0.3706
O: 0.0202 0.2858 0.4855
O: 0.0217 0.2893 0.9684
O: 0.0241 0.7982 0.4753
O: 0.0309 0.7873 0.9720
O: 0.0549 0.8108 0.6320
O: 0.0593 0.3100 0.6293
O: 0.0617 0.3189 0.1204
O: 0.0682 0.8156 0.1173
O: 0.0713 0.0732 0.1087
O: 0.0717 0.5670 0.6084
O: 0.0808 0.0688 0.6114
O: 0.0833 0.5740 0.1044
O: 0.1139 0.6217 0.3782
O: 0.1242 0.3976 0.2516
O: 0.1266 0.6401 0.8530
O: 0.1307 0.1365 0.8549
O: 0.1368 0.4086 0.7545
O: 0.1376 0.9126 0.7582
O: 0.1395 0.1523 0.3659
O: 0.1412 0.8889 0.2603
O: 0.2621 0.4845 0.4840
O: 0.2712 0.4992 0.9686
O: 0.2748 0.9899 0.4839
O: 0.2791 0.9963 0.9688
O: 0.3065 0.8208 0.6315
O: 0.3081 0.3147 0.6316
O: 0.3103 0.3233 0.1215
O: 0.3215 0.8230 0.1173
O: 0.3217 0.5787 0.6115
O: 0.3272 0.5840 0.1032
O: 0.3278 0.0766 0.1073
O: 0.3314 0.0823 0.6087
O: 0.3698 0.7707 0.8639
O: 0.3770 0.2569 0.3771
O: 0.3772 0.2673 0.8531
O: 0.3769 0.6100 0.2529
O: 0.3829 0.1012 0.2545
O: 0.3846 0.7597 0.3585
O: 0.3921 0.5935 0.7585
O: 0.3941 0.0920 0.7547
O: 0.5167 0.8024 0.4736
O: 0.5204 0.2932 0.9672
O: 0.5237 0.2850 0.4840
O: 0.5308 0.7952 0.9707
O: 0.5569 0.8167 0.6313
O: 0.5587 0.3171 0.1219
O: 0.5613 0.3073 0.6296
O: 0.5661 0.8203 0.1206
O: 0.5695 0.0711 0.1041
O: 0.5763 0.5649 0.6127
O: 0.5806 0.5747 0.1074
O: 0.5832 0.0690 0.6060
O: 0.6175 0.1268 0.8631
O: 0.6238 0.1258 0.3767
O: 0.6258 0.6418 0.8551
O: 0.6289 0.3949 0.2536
O: 0.6303 0.6400 0.3702
O: 0.6313 0.8994 0.2571
O: 0.6370 0.9143 0.7575
O: 0.6456 0.4087 0.7565
O: 0.7697 0.5014 0.9701
O: 0.7713 0.9941 0.9698
O: 0.7786 0.4876 0.4773
O: 0.7826 0.9909 0.4740
O: 0.8046 0.8223 0.6341
O: 0.8108 0.3249 0.6288
O: 0.8138 0.3274 0.1189
O: 0.8162 0.8231 0.1187
O: 0.8208 0.0826 0.1087
O: 0.8252 0.0864 0.6119
O: 0.8273 0.5858 0.6113
O: 0.8305 0.5874 0.1067
O: 0.8562 0.2616 0.3780
O: 0.8689 0.7723 0.8644
O: 0.8755 0.2638 0.8561
O: 0.8786 0.1024 0.2695
O: 0.8789 0.7585 0.3673
O: 0.8824 0.6056 0.2585
O: 0.8867 0.0957 0.7559
O: 0.8927 0.5950 0.7588

No. 4
A relaxed NiP2H2O7 crystal, computed with PBE with a Hubbard U.

Properties
For the energy of formation, the calculation gives -2120 meV/atom. Its energy above the lowest structure with this stoichiometry is 3 meV/atom. The space-group type is No. 14. The value obtained for the calculated volume is 11.2 Å³/atom.

a b c (Å): 8.8908 13.0231 9.6781
angles (deg): 90.00 106.40 90.00
Sites, in units of the cell vectors:
Ni: 0.2474 0.2449 0.2506
Ni: 0.2474 0.2551 0.7506
Ni: 0.2485 0.0902 0.5033
Ni: 0.2485 0.4098 0.0033
Ni: 0.7515 0.5902 0.9967
Ni: 0.7515 0.9098 0.4967
Ni: 0.7526 0.7449 0.2494
Ni: 0.7526 0.7551 0.7494
P: 0.0010 0.7149 0.5669
P: 0.0010 0.7851 0.0669
P: 0.0254 0.0519 0.7155
P: 0.0254 0.4481 0.2155
P: 0.4594 0.0389 0.2793
P: 0.4594 0.4611 0.7793
P: 0.4922 0.2070 0.0670
P: 0.4922 0.2930 0.5670
P: 0.5078 0.7070 0.4330
P: 0.5078 0.7930 0.9330
P: 0.5406 0.5389 0.2207
P: 0.5406 0.9611 0.7207
P: 0.9746 0.5519 0.7845
P: 0.9746 0.9481 0.2845
P: 0.9990 0.2149 0.9331
P: 0.9990 0.2851 0.4331
H: 0.0260 0.5881 0.3444
H: 0.0260 0.9119 0.8444
H: 0.2199 0.7400 0.0095
H: 0.2199 0.7600 0.5095
H: 0.2792 0.7459 0.2819
H: 0.2792 0.7541 0.7819
H: 0.4562 0.6070 0.6649
H: 0.4562 0.8930 0.1649
H: 0.5438 0.1070 0.8351
H: 0.5438 0.3930 0.3351
H: 0.7208 0.2459 0.2181
H: 0.7208 0.2541 0.7181
H: 0.7801 0.2400 0.4905
H: 0.7801 0.2600 0.9905
H: 0.9740 0.0881 0.1556
H: 0.9740 0.4119 0.6556
O: 0.0468 0.6253 0.6826
O: 0.0468 0.8747 0.1826
O: 0.0666 0.1739 0.0850
O: 0.0666 0.3261 0.5850
O: 0.1015 0.5398 0.3160
O: 0.1015 0.9602 0.8160
O: 0.1048 0.2097 0.3831
O: 0.1048 0.2903 0.8831
O: 0.1090 0.5258 0.9112
O: 0.1090 0.9742 0.4112
O: 0.1580 0.1133 0.6811
O: 0.1580 0.3867 0.1811
O: 0.1701 0.7356 0.0902
O: 0.1701 0.7644 0.5902
O: 0.3300 0.7465 0.3881
O: 0.3300 0.7535 0.8881
O: 0.3337 0.1029 0.3205
O: 0.3337 0.3971 0.8205
O: 0.3818 0.5606 0.6986
O: 0.3818 0.9394 0.1986
O: 0.3844 0.2193 0.6167
O: 0.3844 0.2807 0.1167
O: 0.3935 0.5215 0.1024
O: 0.3935 0.9785 0.6024
O: 0.4452 0.1883 0.9062
O: 0.4452 0.3117 0.4062
O: 0.4954 0.6015 0.3494
O: 0.4954 0.8985 0.8494
O: 0.5046 0.1015 0.1506
O: 0.5046 0.3985 0.6506
O: 0.5548 0.6883 0.5938
O: 0.5548 0.8117 0.0938
O: 0.6065 0.0215 0.3976
O: 0.6065 0.4785 0.8976
O: 0.6156 0.7193 0.8833
O: 0.6156 0.7807 0.3833
O: 0.6182 0.0606 0.8014
O: 0.6182 0.4394 0.3014
O: 0.6663 0.6029 0.1795
O: 0.6663 0.8971 0.6795
O: 0.6700 0.2465 0.1119
O: 0.6700 0.2535 0.6119
O: 0.8299 0.2356 0.4098
O: 0.8299 0.2644 0.9098
O: 0.8420 0.6133 0.8189
O: 0.8420 0.8867 0.3189
O: 0.8910 0.0258 0.5888
O: 0.8910 0.4742 0.0888
O: 0.8952 0.7097 0.1169
O: 0.8952 0.7903 0.6169
O: 0.8985 0.0398 0.1840
O: 0.8985 0.4602 0.6840
O: 0.9334 0.6739 0.4150
O: 0.9334 0.8261 0.9150
O: 0.9532 0.1253 0.8174
O: 0.9532 0.3747 0.3174

For the records above, the corresponding mass density values read 4.77 4.34 4.63 2.90 g/cm3.
For the records above, the corresponding total DFT energy (no corrections) values read -6.539 -6.008 -6.063 -6.343 eV/atom.